First-principles (GGA+U) data for Li6Mn3VP6O24 after structural relaxation, as listed in the Materials Project.

Computed properties:
relative energy among the computed polymorphs = 7.9 meV per atom
crystal system = triclinic

Cell lengths 8.605, 8.717, 12.366 Å; angles 89.41, 88.15, 89.35 degrees
Sites, in units of the cell vectors:
1 Li 0.077 0.089 0.303
2 Li 0.074 0.692 0.239
3 Li 0.211 0.778 0.826
4 Li 0.289 0.282 0.675
5 Li 0.417 0.198 0.258
6 Li 0.418 0.585 0.195
7 Li 0.583 0.415 0.804
8 Li 0.582 0.804 0.738
9 Li 0.707 0.717 0.327
10 Li 0.793 0.218 0.171
11 Li 0.922 0.305 0.763
12 Li 0.920 0.918 0.699
13 Mn 0.247 0.538 0.399
14 Mn 0.249 0.457 0.891
15 Mn 0.252 0.959 0.610
16 Mn 0.753 0.540 0.108
17 Mn 0.749 0.963 0.897
18 Mn 0.750 0.463 0.601
19 V 0.252 0.030 0.107
20 V 0.747 0.043 0.389
21 P 0.038 0.256 0.504
22 P 0.103 0.386 0.139
23 P 0.103 0.097 0.847
24 P 0.400 0.597 0.656
25 P 0.394 0.884 0.356
26 P 0.467 0.750 0.994
27 P 0.539 0.246 0.004
28 P 0.603 0.117 0.643
29 P 0.600 0.400 0.345
30 P 0.897 0.900 0.156
31 P 0.899 0.615 0.861
32 P 0.961 0.752 0.496
33 O 0.047 0.866 0.568
34 O 0.078 0.889 0.149
35 O 0.070 0.684 0.405
36 O 0.077 0.592 0.835
37 O 0.100 0.377 0.422
38 O 0.141 0.218 0.178
39 O 0.134 0.395 0.016
40 O 0.143 0.974 0.757
41 O 0.150 0.257 0.806
42 O 0.171 0.179 0.564
43 O 0.175 0.044 0.951
44 O 0.196 0.507 0.200
45 O 0.301 0.002 0.286
46 O 0.328 0.543 0.553
47 O 0.333 0.676 0.936
48 O 0.351 0.759 0.694
49 O 0.357 0.905 0.478
50 O 0.358 0.714 0.323
51 O 0.360 0.474 0.747
52 O 0.402 0.868 0.076
53 O 0.430 0.178 0.095
54 O 0.418 0.391 0.350
55 O 0.426 0.095 0.667
56 O 0.451 0.366 0.934
57 O 0.554 0.631 0.065
58 O 0.570 0.906 0.334
59 O 0.582 0.605 0.651
60 O 0.576 0.820 0.903
61 O 0.599 0.126 0.921
62 O 0.638 0.519 0.252
63 O 0.641 0.285 0.678
64 O 0.640 0.100 0.521
65 O 0.654 0.237 0.309
66 O 0.675 0.320 0.060
67 O 0.672 0.458 0.446
68 O 0.697 0.995 0.706
69 O 0.805 0.495 0.801
70 O 0.822 0.955 0.053
71 O 0.828 0.834 0.436
72 O 0.846 0.740 0.198
73 O 0.862 0.024 0.245
74 O 0.869 0.607 0.984
75 O 0.862 0.784 0.823
76 O 0.893 0.631 0.575
77 O 0.925 0.409 0.165
78 O 0.928 0.324 0.595
79 O 0.920 0.104 0.852
80 O 0.951 0.141 0.434



First-principles (GGA+U) data for Ca10VP5O24F2 after structural relaxation, as listed in the Materials Project.

Computed properties:
crystal system = monoclinic

Cell lengths 6.979, 9.505, 9.517 Å; angles 60.29, 90.00, 90.00 degrees
Sites, in units of the cell vectors:
1 Ca 0.500 0.009 0.488
2 Ca 0.750 0.673 0.905
3 Ca 0.250 0.673 0.905
4 Ca 0.748 0.334 0.582
5 Ca 0.252 0.334 0.582
6 Ca 0.500 0.248 0.997
7 Ca 0.000 0.765 0.497
8 Ca 0.000 0.248 0.238
9 Ca 0.000 0.002 0.998
10 Ca 0.500 0.764 0.246
11 V 0.000 0.608 0.274
12 P 0.500 0.634 0.646
13 P 0.500 0.975 0.877
14 P 0.000 0.373 0.846
15 P 0.000 0.032 0.610
16 P 0.500 0.403 0.215
17 O 0.500 0.535 0.835
18 O 0.000 0.696 0.064
19 O 0.500 0.518 0.575
20 O 0.500 0.162 0.762
21 O 0.680 0.347 0.159
22 O 0.320 0.347 0.159
23 O 0.821 0.261 0.902
24 O 0.179 0.261 0.902
25 O 0.000 0.487 0.919
26 O 0.679 0.921 0.989
27 O 0.321 0.921 0.989
28 O 0.500 0.884 0.778
29 O 0.000 0.396 0.379
30 O 0.500 0.331 0.402
31 O 0.000 0.121 0.712
32 O 0.679 0.746 0.592
33 O 0.321 0.746 0.592
34 O 0.500 0.593 0.125
35 O 0.000 0.471 0.657
36 O 0.820 0.087 0.499
37 O 0.180 0.087 0.499
38 O 0.000 0.845 0.721
39 O 0.806 0.669 0.342
40 O 0.194 0.669 0.342
41 F 0.500 0.008 0.245
42 F 0.000 0.002 0.243



First-principles (GGA+U) data for Li3Mn4P6O24 after structural relaxation, as listed in the Materials Project.

Computed properties:
relative energy among the computed polymorphs = 3.9 meV per atom
crystal system = triclinic

Cell lengths 8.322, 8.650, 11.789 Å; angles 89.80, 89.42, 89.38 degrees
Sites, in units of the cell vectors:
1 Li 0.813 0.787 0.179
2 Li 0.678 0.285 0.322
3 Li 0.571 0.599 0.804
4 Li 0.181 0.209 0.823
5 Li 0.077 0.499 0.660
6 Li 0.081 0.909 0.308
7 Mn 0.747 0.029 0.887
8 Mn 0.747 0.528 0.605
9 Mn 0.743 0.968 0.388
10 Mn 0.750 0.465 0.113
11 Mn 0.248 0.533 0.888
12 Mn 0.252 0.029 0.614
13 Mn 0.247 0.471 0.388
14 Mn 0.256 0.973 0.107
15 P 0.967 0.253 0.493
16 P 0.881 0.378 0.851
17 P 0.887 0.111 0.140
18 P 0.608 0.886 0.649
19 P 0.611 0.611 0.353
20 P 0.539 0.753 0.010
21 P 0.465 0.249 0.993
22 P 0.388 0.385 0.643
23 P 0.386 0.120 0.353
24 P 0.112 0.884 0.855
25 P 0.110 0.616 0.150
26 P 0.041 0.753 0.509
27 O 0.936 0.889 0.895
28 O 0.945 0.873 0.441
29 O 0.942 0.669 0.603
30 O 0.930 0.580 0.181
31 O 0.911 0.368 0.587
32 O 0.861 0.426 0.976
33 O 0.877 0.199 0.840
34 O 0.870 0.997 0.243
35 O 0.830 0.273 0.183
36 O 0.819 0.187 0.436
37 O 0.762 0.472 0.776
38 O 0.726 0.975 0.725
39 O 0.730 0.554 0.447
40 O 0.772 0.052 0.049
41 O 0.687 0.676 0.070
42 O 0.665 0.767 0.310
43 O 0.621 0.705 0.665
44 O 0.638 0.920 0.524
45 O 0.606 0.861 0.916
46 O 0.634 0.488 0.256
47 O 0.563 0.171 0.896
48 O 0.563 0.384 0.599
49 O 0.563 0.083 0.319
50 O 0.558 0.374 0.057
51 O 0.454 0.630 0.942
52 O 0.433 0.931 0.683
53 O 0.436 0.608 0.394
54 O 0.437 0.830 0.104
55 O 0.373 0.495 0.746
56 O 0.404 0.137 0.086
57 O 0.359 0.074 0.478
58 O 0.380 0.299 0.341
59 O 0.330 0.224 0.683
60 O 0.316 0.324 0.936
61 O 0.230 0.945 0.948
62 O 0.265 0.446 0.554
63 O 0.269 0.028 0.277
64 O 0.225 0.523 0.226
65 O 0.187 0.828 0.565
66 O 0.161 0.721 0.817
67 O 0.135 0.003 0.757
68 O 0.119 0.797 0.166
69 O 0.141 0.578 0.026
70 O 0.106 0.644 0.415
71 O 0.055 0.413 0.811
72 O 0.066 0.332 0.396
73 O 0.060 0.126 0.558
74 O 0.065 0.112 0.103



First-principles (GGA+U) data for Li2TiFeO4 after structural relaxation, as listed in the Materials Project.

Computed properties:
relative energy among the computed polymorphs = 0.0 meV per atom

Cell lengths 5.342, 7.807, 8.108 Å; angles 106.72, 87.27, 107.24 degrees
Sites, in units of the cell vectors:
1 Li 0.311 0.437 0.621
2 Li 0.060 0.687 0.122
3 Li 0.811 0.937 0.622
4 Li 0.561 0.187 0.122
5 Li 0.790 0.247 0.526
6 Li 0.538 0.494 0.026
7 Li 0.290 0.747 0.526
8 Li 0.039 0.995 0.026
9 Ti 0.343 0.131 0.768
10 Ti 0.109 0.397 0.268
11 Ti 0.842 0.631 0.768
12 Ti 0.609 0.897 0.268
13 Fe 0.694 0.560 0.373
14 Fe 0.442 0.810 0.873
15 Fe 0.943 0.310 0.873
16 Fe 0.193 0.060 0.373
17 O 0.139 0.570 0.846
18 O 0.888 0.818 0.346
19 O 0.640 0.070 0.846
20 O 0.388 0.318 0.346
21 O 0.098 0.180 0.632
22 O 0.844 0.427 0.131
23 O 0.598 0.680 0.632
24 O 0.344 0.927 0.131
25 O 0.622 0.378 0.747
26 O 0.367 0.623 0.247
27 O 0.122 0.878 0.747
28 O 0.867 0.123 0.247
29 O 0.503 0.996 0.486
30 O 0.251 0.244 0.987
31 O 0.003 0.496 0.486
32 O 0.751 0.744 0.987



First-principles (GGA+U) data for Li3Fe5OF11 after structural relaxation, as listed in the Materials Project.

Computed properties:
relative energy among the computed polymorphs = 489.0 meV per atom
crystal system = triclinic

Cell lengths 5.304, 5.676, 9.225 Å; angles 105.67, 89.82, 117.19 degrees
Sites, in units of the cell vectors:
1 Li 0.792 0.625 0.943
2 Li 0.272 0.128 0.422
3 Li 0.225 0.353 0.074
4 Fe 0.480 0.126 0.830
5 Fe 0.967 0.637 0.332
6 Fe 0.017 0.396 0.670
7 Fe 0.742 0.861 0.572
8 Fe 0.521 0.867 0.171
9 O 0.976 0.722 0.522
10 F 0.511 0.463 0.271
11 F 0.023 0.980 0.783
12 F 0.575 0.102 0.630
13 F 0.930 0.378 0.879
14 F 0.476 0.226 0.028
15 F 0.526 0.780 0.965
16 F 0.032 0.276 0.471
17 F 0.074 0.646 0.133
18 F 0.437 0.885 0.372
19 F 0.470 0.512 0.725
20 F 0.955 0.037 0.206



First-principles (GGA+U) data for Ba2MnAl2CoF14 after structural relaxation, as listed in the Materials Project.

Computed properties:
crystal system = monoclinic

Cell lengths 7.404, 7.404, 14.618 Å; angles 88.60, 88.60, 41.66 degrees
Sites, in units of the cell vectors:
1 Ba 0.643 0.735 0.880
2 Ba 0.357 0.265 0.120
3 Ba 0.265 0.357 0.620
4 Ba 0.735 0.643 0.380
5 Mn 0.943 0.057 0.750
6 Mn 0.057 0.943 0.250
7 Al 0.616 0.619 0.624
8 Al 0.384 0.381 0.376
9 Al 0.381 0.384 0.876
10 Al 0.619 0.616 0.124
11 Co 0.000 0.000 0.500
12 Co 0.000 0.000 0.000
13 F 0.340 0.895 0.700
14 F 0.660 0.105 0.300
15 F 0.105 0.660 0.800
16 F 0.895 0.340 0.200
17 F 0.659 0.094 0.952
18 F 0.341 0.906 0.048
19 F 0.906 0.341 0.548
20 F 0.094 0.659 0.452
21 F 0.395 0.765 0.524
22 F 0.605 0.235 0.476
23 F 0.235 0.605 0.976
24 F 0.765 0.395 0.024
25 F 0.541 0.135 0.782
26 F 0.459 0.865 0.218
27 F 0.865 0.459 0.718
28 F 0.135 0.541 0.282
29 F 0.585 0.409 0.658
30 F 0.415 0.591 0.342
31 F 0.591 0.415 0.842
32 F 0.409 0.585 0.158
33 F 0.882 0.998 0.124
34 F 0.118 0.002 0.876
35 F 0.002 0.118 0.376
36 F 0.998 0.882 0.624
37 F 0.681 0.802 0.588
38 F 0.319 0.198 0.412
39 F 0.198 0.319 0.912
40 F 0.802 0.681 0.088



First-principles (GGA+U) data for NaLi2FePCO7 after structural relaxation, as listed in the Materials Project.

Computed properties:
relative energy among the computed polymorphs = 14.2 meV per atom
crystal system = triclinic

Cell lengths 6.574, 8.683, 10.220 Å; angles 87.29, 89.70, 89.22 degrees
Sites, in units of the cell vectors:
1 Na 0.754 0.914 0.121
2 Na 0.766 0.914 0.621
3 Na 0.496 0.745 0.878
4 Na 0.497 0.256 0.625
5 Li 0.971 0.720 0.382
6 Li 0.532 0.721 0.381
7 Li 0.971 0.718 0.890
8 Li 0.477 0.272 0.119
9 Li 0.017 0.271 0.120
10 Li 0.026 0.277 0.620
11 Li 0.240 0.091 0.373
12 Li 0.219 0.097 0.877
13 Fe 0.241 0.651 0.117
14 Fe 0.253 0.654 0.602
15 Fe 0.760 0.343 0.389
16 Fe 0.750 0.348 0.895
17 P 0.746 0.581 0.149
18 P 0.763 0.581 0.639
19 P 0.254 0.411 0.349
20 P 0.241 0.417 0.859
21 C 0.248 0.963 0.137
22 C 0.239 0.958 0.641
23 C 0.754 0.043 0.361
24 C 0.762 0.051 0.862
25 O 0.745 0.893 0.355
26 O 0.779 0.902 0.855
27 O 0.251 0.929 0.014
28 O 0.248 0.926 0.518
29 O 0.235 0.853 0.228
30 O 0.249 0.845 0.731
31 O 0.928 0.675 0.092
32 O 0.555 0.677 0.107
33 O 0.942 0.681 0.583
34 O 0.567 0.670 0.591
35 O 0.758 0.571 0.302
36 O 0.253 0.577 0.399
37 O 0.770 0.573 0.792
38 O 0.227 0.578 0.917
39 O 0.743 0.416 0.099
40 O 0.238 0.422 0.196
41 O 0.774 0.417 0.589
42 O 0.232 0.433 0.706
43 O 0.448 0.318 0.390
44 O 0.077 0.311 0.408
45 O 0.437 0.327 0.902
46 O 0.065 0.310 0.911
47 O 0.769 0.131 0.255
48 O 0.756 0.141 0.757
49 O 0.749 0.108 0.473
50 O 0.751 0.113 0.975
51 O 0.255 0.106 0.171
52 O 0.220 0.099 0.678



First-principles (GGA+U) data for FePH6NO5 after structural relaxation, as listed in the Materials Project.

Computed properties:
crystal system = triclinic

Cell lengths 5.734, 9.021, 4.811 Å; angles 89.98, 89.77, 89.89 degrees
Sites, in units of the cell vectors:
1 Fe 0.500 0.023 0.508
2 Fe 0.000 0.977 0.008
3 P 0.500 0.804 0.078
4 P 0.000 0.196 0.578
5 H 0.500 0.543 0.810
6 H 0.000 0.458 0.310
7 H 0.500 0.546 0.449
8 H 0.000 0.454 0.949
9 H 0.649 0.412 0.623
10 H 0.351 0.413 0.624
11 H 0.851 0.588 0.124
12 H 0.149 0.587 0.123
13 H 0.636 0.190 0.069
14 H 0.363 0.190 0.071
15 H 0.864 0.810 0.570
16 H 0.137 0.811 0.569
17 N 0.500 0.478 0.627
18 N 0.000 0.522 0.127
19 O 0.500 0.838 0.766
20 O 0.001 0.162 0.266
21 O 0.499 0.633 0.122
22 O 0.000 0.367 0.622
23 O 0.719 0.873 0.226
24 O 0.282 0.875 0.228
25 O 0.780 0.127 0.726
26 O 0.217 0.125 0.727
27 O 0.500 0.201 0.194
28 O 0.000 0.799 0.694



no.,total energy after the MP2020 corrections (eV/cell),energy of formation (eV per atom)
1,-606.3,-2.60
2,-320.2,-3.37
3,-565.9,-2.41
4,-242.1,-2.57
5,-116.2,-2.11
6,-251.8,-3.58
7,-371.7,-2.31
8,-176.1,-1.48